(1)
Y4Zn5Ge6: relaxed, PBE.

Properties
Its total energy is -4.557 eV per atom. The space group is Cmc2_1, No. 36.

extended XYZ file:
```
30
Lattice="2.122 -9.362 0.000 2.122 9.362 0.000 0.000 0.000 15.349" Properties=species:S:1:pos:R:3 pbc="T T T"
Ge 2.122 1.263 2.048
Ge 2.122 5.099 7.645
Ge 2.122 1.122 6.270
Ge 2.122 -1.122 13.945
Ge 2.122 -7.239 9.906
Ge 2.122 1.295 13.146
Ge 2.122 -1.295 5.472
Ge 2.122 -1.263 9.723
Ge 2.122 7.239 2.232
Ge 2.122 5.197 11.918
Ge 2.122 -5.197 4.243
Ge 2.122 -5.099 15.319
Zn 2.122 3.735 9.798
Zn 2.122 -1.228 1.209
Zn 2.122 2.807 4.326
Zn 2.122 -3.735 2.124
Zn 2.122 -6.522 2.085
Zn 2.122 -2.905 7.516
Zn 2.122 -2.807 12.000
Zn 2.122 2.905 15.190
Zn 2.122 6.522 9.760
Zn 2.122 1.228 8.883
Y 2.122 -6.221 7.050
Y 2.122 -9.019 4.037
Y 2.122 6.081 4.879
Y 2.122 -8.746 15.344
Y 2.122 8.746 7.669
Y 2.122 6.221 14.725
Y 2.122 -6.081 12.554
Y 2.122 9.019 11.711
```

=====

(2)
Zn3Ge: relaxed, PBE.

Properties
Its total energy is -1.983 eV per atom. The space group is I4/mmm, No. 139.

extended XYZ file:
```
4
Lattice="-1.994 1.994 4.089 1.994 -1.994 4.089 1.994 1.994 -4.089" Properties=species:S:1:pos:R:3 pbc="T T T"
Zn 0.000 0.000 4.089
Zn 0.000 1.994 2.045
Zn 1.994 0.000 2.045
Ge 0.000 0.000 0.000
```

=====

(3)
ZrGe: relaxed, PBE.

Properties
Its total energy is -7.390 eV per atom. The space group is Pnma, No. 62.

extended XYZ file:
```
8
Lattice="-3.861 -0.758 0.011 0.967 -4.957 -2.016 0.526 -2.587 6.613" Properties=species:S:1:pos:R:3 pbc="T T T"
Ge -2.027 -4.970 1.678
Ge -0.792 -1.071 0.017
Ge -0.341 -3.331 2.931
Ge -1.576 -7.230 4.591
Zr 0.231 -6.247 2.723
Zr -2.105 -4.530 4.712
Zr -2.599 -2.054 1.886
Zr -0.263 -3.771 -0.103
```

=====

(4)
Zr3Ge: relaxed, PBE.

Properties
Its total energy is -7.928 eV per atom. The space group is P6_3/mmc, No. 194.

extended XYZ file:
```
8
Lattice="1.160 1.226 -5.904 -1.379 -5.727 1.733 -4.899 0.948 -0.766" Properties=species:S:1:pos:R:3 pbc="T T T"
Zr -3.620 -2.044 -4.329
Zr -1.498 -1.509 -0.608
Zr -1.605 -3.705 -2.643
Zr -2.947 0.750 -5.175
Zr -2.171 -4.303 0.238
Zr -3.513 0.152 -2.294
Ge -0.911 -0.855 -3.550
Ge -4.207 -2.698 -1.387
```

=====

(5)
Zr5Ge4: relaxed, PBE.

Properties
Its total energy is -7.648 eV per atom. The space group is P4_12_12, No. 92.

extended XYZ file:
```
36
Lattice="-3.075 0.629 -6.596 -6.326 -2.441 2.717 -3.572 12.429 2.850" Properties=species:S:1:pos:R:3 pbc="T T T"
Ge -8.207 11.472 -2.866
Ge -7.039 5.829 1.416
Ge -8.310 7.690 -1.882
Ge -7.255 -1.335 0.810
Ge -5.363 4.898 -2.209
Ge -4.406 7.386 -2.887
Ge -8.828 9.957 2.152
Ge -2.877 3.693 0.561
Ge -8.508 0.522 -2.450
Ge -4.190 1.279 0.475
Ge -4.717 0.550 -3.417
Ge -5.589 9.954 -0.186
Ge -6.079 3.711 2.884
Ge -3.898 8.119 0.967
Ge -7.858 2.311 -0.465
Ge -10.664 8.899 -1.138
Zr -6.416 8.577 2.544
Zr -3.607 10.928 1.467
Zr -8.300 10.112 -0.467
Zr -10.237 2.717 -1.802
Zr -5.497 12.464 -1.558
Zr -10.656 6.373 -2.495
Zr -3.306 2.667 -2.232
Zr -7.136 6.375 -4.138
Zr -9.454 7.206 1.032
Zr -1.447 1.215 0.772
Zr -6.771 2.784 -3.403
Zr -6.311 9.425 -2.865
Zr -4.266 -1.229 1.854
Zr -9.048 3.623 1.784
Zr -6.111 0.228 -1.155
Zr -3.092 -0.596 -1.276
Zr -5.589 3.691 0.169
Zr -8.095 4.998 -1.178
Zr -5.947 7.203 -0.605
Zr -6.663 1.191 1.836
```

=====

(6)
Zr3Ge: relaxed, PBE.

Properties
Its total energy is -8.113 eV per atom. The space group is P4_2/n, No. 86.

extended XYZ file:
```
32
Lattice="-5.095 -4.346 -8.899 7.900 -7.819 -0.705 -2.942 -3.268 3.280" Properties=species:S:1:pos:R:3 pbc="T T T"
Ge 2.890 -11.647 -7.057
Ge 1.271 -5.806 -2.013
Ge -5.583 -8.334 -6.092
Ge 3.759 -8.973 1.649
Ge -0.154 -8.234 -5.710
Ge 1.132 -9.830 -2.237
Ge -1.339 -1.910 -1.149
Ge -2.522 -6.996 -2.690
Zr 1.453 -9.181 -7.780
Zr -2.621 -3.174 1.101
Zr 1.122 -5.184 0.746
Zr 5.838 -7.754 0.069
Zr -2.960 -7.569 -5.544
Zr -1.379 -4.687 -1.384
Zr -4.132 -5.800 -0.628
Zr 1.185 -13.703 -5.976
Zr -3.809 -4.795 -3.925
Zr 1.994 -7.781 -3.937
Zr -0.389 -7.810 -0.984
Zr 1.283 -10.700 -4.987
Zr 1.258 -12.674 -2.644
Zr 3.876 -10.410 -2.627
Zr -1.463 -10.475 -6.843
Zr 1.310 -3.029 -1.779
Zr -0.489 -5.828 -4.218
Zr 2.109 -10.894 0.147
Zr -5.145 -7.761 -3.237
Zr -4.674 -6.234 -7.844
Zr 2.782 -7.909 -0.734
Zr -1.355 -7.267 -8.137
Zr 3.956 -5.125 -1.240
Zr -1.389 -9.446 -3.511
```

=====

(7)
ZrGe2: relaxed, PBE.

Properties
Its total energy is -6.529 eV per atom. The space group is Cmcm, No. 63.

extended XYZ file:
```
6
Lattice="0.000 0.000 3.817 3.849 0.000 0.000 1.924 7.585 0.000" Properties=species:S:1:pos:R:3 pbc="T T T"
Zr 3.849 1.583 2.862
Zr 1.924 6.003 0.954
Ge 1.924 3.786 2.862
Ge 3.849 3.799 0.954
Ge 3.849 6.684 2.862
Ge 1.924 0.902 0.954
```

=====

(8)
Na2HfH6O6: relaxed, PBE.

Properties
Its total energy is -5.842 eV per atom. The space group is R-3, No. 148.

extended XYZ file:
```
15
Lattice="-4.991 2.695 1.657 -4.498 0.091 -3.831 -4.706 -3.374 1.177" Properties=species:S:1:pos:R:3 pbc="T T T"
H -9.273 -1.373 0.818
H -9.067 -1.154 -2.233
H -4.923 0.785 -1.815
H -4.903 -1.971 -0.471
H -5.128 0.566 1.236
H -9.292 1.383 -0.526
O -8.098 -1.084 -2.159
O -8.322 1.402 -0.434
O -5.896 0.755 -1.854
O -5.873 -1.991 -0.563
O -6.097 0.496 1.162
O -8.299 -1.343 0.857
Na -2.340 -0.097 -0.164
Na -11.856 -0.491 -0.833
Hf -7.098 -0.294 -0.499
```

=====

(9)
KHgH2I3O: relaxed, PBE.

Properties
Its total energy is -3.083 eV per atom. The space group is Pna2_1, No. 33.

extended XYZ file:
```
32
Lattice="8.697 0.000 0.000 0.000 9.642 0.000 0.000 0.000 11.982" Properties=species:S:1:pos:R:3 pbc="T T T"
I 6.403 5.640 9.230
I 2.054 8.823 9.230
I 2.059 8.890 4.372
I 4.314 7.452 1.013
I 6.643 0.819 3.239
I 6.638 0.751 10.363
I 6.408 5.572 4.372
I 2.289 4.070 10.363
I 8.663 7.010 1.013
I 4.383 2.189 7.004
I 2.294 4.002 3.239
I 0.034 2.632 7.004
O 1.065 0.963 0.746
O 5.414 3.858 0.746
O 3.284 5.783 6.737
O 7.632 8.679 6.737
H 7.824 9.347 7.426
H 3.476 5.116 7.426
H 8.138 8.997 5.957
H 5.222 4.526 1.435
H 0.873 0.295 1.435
H 4.908 4.176 11.948
H 0.560 0.644 11.948
H 3.789 5.465 5.957
Hg 2.217 6.778 11.111
Hg 2.132 1.957 5.120
Hg 6.480 2.864 5.120
Hg 6.566 7.685 11.111
K 8.205 3.325 0.836
K 3.856 1.496 0.836
K 4.841 8.146 6.827
K 0.492 6.317 6.827
```

=====

(10)
Hg3H4I2O12: relaxed, PBE.

Properties
Its total energy is -4.106 eV per atom. The space group is P2_1/c, No. 14.

extended XYZ file:
```
84
Lattice="6.078 -4.509 4.714 6.635 6.686 -2.480 -2.902 6.613 10.065" Properties=species:S:1:pos:R:3 pbc="T T T"
H 3.821 5.244 8.727
H 11.258 3.214 4.571
H 5.990 3.546 3.573
H 2.012 8.594 5.994
H 8.834 2.558 3.488
H 6.922 6.751 10.092
H 4.747 8.543 6.001
H 4.022 2.456 9.884
H 7.798 0.196 6.306
H -1.448 5.576 7.729
H 5.063 0.248 6.299
H 2.811 -0.113 4.332
H 7.000 8.903 7.968
H 0.977 6.232 8.812
H 2.889 2.040 2.207
H 5.788 6.335 2.416
I 7.649 3.822 1.719
I 9.722 2.914 6.544
I 0.089 5.877 5.755
I 2.704 10.820 6.951
I 3.652 2.029 5.318
I 2.161 4.969 10.580
I 6.159 6.762 6.982
I 7.106 -2.029 5.349
O 8.908 4.924 2.683
O 6.302 2.650 0.977
O -0.254 3.978 5.773
O 5.639 5.571 5.660
O 3.508 6.140 11.322
O 10.296 2.958 4.651
O 7.934 6.959 6.240
O 2.880 2.471 1.315
O 4.396 6.810 7.767
O 1.877 1.831 6.060
O 1.719 6.499 9.427
O 0.903 3.867 9.617
O 4.172 3.220 6.639
O 3.550 4.457 9.274
O 1.805 5.656 6.416
O 0.898 5.472 11.839
O 4.428 10.581 7.583
O 3.056 3.353 4.128
O 8.913 3.318 0.461
O 6.652 1.352 8.668
O 1.287 0.802 -0.141
O 4.102 0.481 6.445
O 5.414 1.981 4.533
O 6.770 8.022 8.372
O 0.429 1.707 2.302
O 5.382 -1.791 4.716
O 7.879 -1.111 3.838
O 2.814 3.516 11.575
O 5.549 7.292 2.324
O 6.260 4.333 3.025
O -0.485 5.833 7.648
O 3.552 5.494 1.738
O 5.709 8.310 5.855
O 6.930 6.320 10.984
O 6.908 -0.225 6.136
O 8.092 2.292 2.873
O 3.159 7.439 3.632
O 8.524 7.988 12.441
O 8.006 3.134 5.884
O 6.997 5.275 0.724
O 6.259 3.297 10.562
O 3.040 0.768 3.927
O 4.261 1.499 9.975
O 1.931 9.902 8.462
O 2.903 9.015 6.164
O 9.382 7.084 9.997
O 6.755 5.437 8.171
O 10.064 4.813 6.526
Hg 3.982 8.210 9.297
Hg 9.530 5.859 8.282
Hg 0.281 2.932 4.018
Hg 1.467 3.038 7.754
Hg 8.288 9.737 10.999
Hg 3.481 5.496 4.776
Hg 1.523 -0.946 1.300
Hg 6.330 3.295 7.523
Hg 5.432 4.295 12.230
Hg 5.828 0.581 3.002
Hg 8.344 5.753 4.546
Hg 4.379 4.495 0.069
```

=====

(11)
Hg3H4I2O12: relaxed, PBE.

Properties
Its total energy is -4.035 eV per atom. The space group is P2_1/c, No. 14.

extended XYZ file:
```
84
Lattice="13.888 0.000 0.000 0.000 9.306 0.000 0.000 0.361 10.053" Properties=species:S:1:pos:R:3 pbc="T T T"
H 11.713 7.582 6.865
H 11.644 1.468 0.422
H 3.864 6.158 5.008
H 4.769 2.266 8.214
H 9.188 1.649 5.449
H 3.080 6.339 10.034
H 10.478 8.443 0.009
H 10.024 3.510 5.044
H 3.410 1.224 10.044
H 2.175 2.085 3.188
H 9.119 7.402 1.838
H 2.244 8.200 9.630
H 10.354 8.624 5.035
H 3.534 1.044 5.017
H 10.808 3.329 0.018
H 4.700 8.019 4.604
O 13.203 1.410 6.001
O 0.685 8.258 4.051
O 8.594 6.536 6.713
O 0.587 4.910 6.304
O 10.350 3.939 0.647
O 11.805 5.779 7.849
O 2.981 3.755 1.357
O 11.207 8.585 9.419
O 11.114 0.841 2.877
O 12.238 6.356 1.687
O 3.406 5.548 4.379
O 9.719 1.022 7.903
O 13.302 4.758 3.749
O 4.263 1.264 5.659
O 6.497 5.639 3.912
O 2.083 3.888 2.204
O 1.650 3.312 8.366
O 2.681 1.083 0.633
O 10.907 5.913 8.695
O 10.482 4.120 5.673
O 3.963 3.936 6.384
O 6.259 8.438 9.078
O 5.294 3.131 3.339
O 7.391 4.029 6.141
O 2.775 8.827 7.175
O 7.630 1.229 0.975
O 3.538 5.729 9.406
O 11.915 2.156 9.588
O 4.169 8.646 2.149
O 0.432 0.430 1.572
O 2.505 1.205 3.468
O 4.439 1.385 8.495
O 11.383 8.463 6.584
O 9.449 8.282 1.558
O 9.027 5.599 2.823
O 0.447 5.819 8.938
O 13.456 9.238 8.481
O 4.861 4.069 7.230
O 8.917 1.976 4.562
O 9.625 8.404 4.393
O 13.441 3.848 1.114
O 7.376 9.057 3.454
O 6.358 4.729 1.278
O 1.973 7.511 0.464
O 6.512 0.611 6.598
O 7.531 4.939 8.775
O 4.971 7.692 5.491
O 9.925 5.732 3.669
I 5.283 4.906 2.801
I 2.218 9.069 2.065
I 1.661 5.087 7.827
I 12.227 4.581 2.225
I 8.605 4.762 7.251
I 4.726 9.250 7.091
I 9.162 0.418 2.962
I 11.670 0.599 7.988
Hg 7.336 7.581 5.173
Hg 8.083 9.275 8.609
Hg 0.392 2.268 9.905
Hg 13.496 7.400 0.147
Hg 5.646 6.410 9.400
Hg 8.242 3.258 0.652
Hg 1.139 0.574 6.470
Hg 6.552 2.087 4.879
Hg 1.298 6.229 4.374
Hg 12.590 3.439 5.679
Hg 12.749 9.094 3.583
Hg 5.805 0.393 1.444
```